An optimized crystal structure of V2Pb3O8, computed with GGA+U.

The structure belongs to space group C2 (No. 5); the cell edges are 9.5646, 6.4553 and 7.5941 Å and the angles 90.00°, 115.98° and 90.00°. The distinct sites, in fractional coordinates, are V at (0.0963, 0.0000, 0.3001), Pb at (0.0000, 0.5116, 0.5000), Pb at (0.2306, 0.5628, 0.1230), O at (0.0226, 0.2193, 0.7883), O at (0.0375, 0.7990, 0.7310), O at (0.2060, 0.9439, 0.1727) and O at (0.2299, 0.0449, 0.5413).

Its calculated formation energy is -2.06 eV/atom. For the MP2020-corrected energy, the calculation gives -7.363 eV/atom.